Here is a geometry-optimized Ce2Sn5 structure from the Materials Project. Energies are from r²SCAN.

## Properties
* electronic total energy: -379.30 eV/cell
* ΔH_f (0 K): -0.61 eV per atom

Cell: 4.5929 4.6877 17.9103 Å, 90.00 97.45 90.00°
Space group P2/m (No. 10)
Asymmetric unit:
Ce: 0.0680 0.0000 0.1356 x2
Ce: 0.2019 0.0000 0.4038 x2
Sn: 0.0000 0.5000 0.0000 x1
Sn: 0.1367 0.5000 0.2739 x2
Sn: 0.2779 0.5000 0.5559 x2
Sn: 0.3638 0.0000 0.7277 x2
Sn: 0.4286 0.5000 0.8581 x2
Sn: 0.5000 0.0000 0.0000 x1

***

Here is a geometry-optimized CeZnSn structure from the Materials Project. Energies are from r²SCAN.

## Properties
* electronic total energy: -266.14 eV/cell
* ΔH_f (0 K): -0.68 eV per atom

Cell: 4.5592 4.5592 16.9822 Å, 90.00 90.00 120.00°
Space group P6_3/mmc (No. 194)
Asymmetric unit:
Ce: 0.0000 0.0000 0.0000 x2
Ce: 0.0000 0.0000 0.2500 x2
Zn: 0.3333 0.6667 0.1580 x4
Sn: 0.3333 0.6667 0.6173 x4

***

Here is a geometry-optimized Tb3Ce structure from the Materials Project. Energies are from r²SCAN.

## Properties
* electronic total energy: -124.36 eV/cell
* ΔH_f (0 K): 0.04 eV per atom

Cell: 3.6148 3.6148 11.6266 Å, 90.00 90.00 120.00°
Space group P-6m2 (No. 187)
Asymmetric unit:
Tb: 0.0000 0.0000 0.0000 x1
Tb: 0.6667 0.3333 0.2464 x2
Ce: 0.0000 0.0000 0.5000 x1

***

Here is a geometry-optimized CeTe structure from the Materials Project. Energies are from r²SCAN.

## Properties
* electronic total energy: -237.95 eV/cell
* ΔH_f (0 K): -1.62 eV per atom

Cell: 6.4262 6.4262 6.4262 Å, 90.00 90.00 90.00°
Space group Fm-3m (No. 225)
Asymmetric unit:
Ce: 0.0000 0.0000 0.0000 x4
Te: 0.0000 0.0000 0.5000 x4